Record 1
Compound: Na4HfZnSiP2O12
Source: the Materials Project database
Functional: PBE
Structure: relaxed

Results
SG	Cc, No. 9

abc: 9.1775 9.1775 22.2793
angles: 90.44 90.44 59.67
Last column: nearest neighbours and their distance in Å.
Positions (direct):
Na 0.1289 0.8711 0.5000  3 O 2.35-2.52
Na 0.1301 0.4768 0.0054  4 O 2.40-2.58
Na 0.1376 0.7929 0.1697  4 O 2.37-2.64
Na 0.1451 0.5276 0.6689  4 O 2.39-2.55
Na 0.1522 0.1541 0.4216  4 O 2.37-2.59
Na 0.1541 0.1522 0.9216  4 O 2.37-2.59
Na 0.1964 0.8117 0.8381  4 O 2.39-2.61
Na 0.1990 0.4713 0.3310  4 O 2.42-2.62
Na 0.4609 0.8061 0.3353  5 O 2.35-2.61
Na 0.4713 0.1990 0.8310  4 O 2.42-2.62
Na 0.4705 0.8646 0.9992  5 O 2.43-2.69
Na 0.4768 0.1301 0.5054  4 O 2.40-2.58
Na 0.4828 0.4939 0.2551  4 O 2.36-2.61
Na 0.4939 0.4828 0.7551  4 O 2.36-2.61
Na 0.5276 0.1451 0.1689  4 O 2.39-2.55
Na 0.5316 0.8035 0.6657  5 O 2.40-2.65
Na 0.7929 0.1376 0.6697  4 O 2.37-2.64
Na 0.8035 0.5316 0.1657  5 O 2.40-2.65
Na 0.8061 0.4609 0.8353  5 O 2.35-2.61
Na 0.8117 0.1964 0.3381  4 O 2.39-2.61
Na 0.8173 0.8321 0.5879  3 O 2.32-2.55
Na 0.8321 0.8173 0.0879  3 O 2.32-2.55
Na 0.8646 0.4705 0.4992  5 O 2.43-2.69
Na 0.8711 0.1289 0.0000  3 O 2.35-2.52
Hf 0.1583 0.1576 0.2654  6 O 2.01-2.13
Hf 0.1576 0.1583 0.7654  6 O 2.01-2.13
Hf 0.4840 0.4932 0.0990  6 O 1.97-2.16
Hf 0.4932 0.4840 0.5990  6 O 1.97-2.16
Hf 0.8274 0.8288 0.4320  6 O 1.98-2.20
Hf 0.8288 0.8274 0.9320  6 O 1.98-2.20
Zn 0.1552 0.1558 0.0679  4 O 1.97-2.14
Zn 0.1558 0.1552 0.5679  4 O 1.97-2.14
Zn 0.4906 0.4915 0.4016  4 O 1.99-2.13
Zn 0.4915 0.4906 0.9016  4 O 1.99-2.13
Zn 0.8116 0.8398 0.7347  4 O 1.96-2.13
Zn 0.8398 0.8116 0.2347  4 O 1.96-2.13
Si 0.1270 0.8214 0.3293  4 O 1.61-1.68
Si 0.1564 0.4524 0.1614  4 O 1.61-1.68
Si 0.1951 0.7896 0.9947  4 O 1.61-1.68
Si 0.4524 0.1564 0.6614  4 O 1.61-1.68
Si 0.7896 0.1951 0.4947  4 O 1.61-1.68
Si 0.8214 0.1270 0.8293  4 O 1.61-1.68
P 0.1149 0.5303 0.8277  4 O 1.52-1.58
P 0.1594 0.8602 0.6620  4 O 1.53-1.58
P 0.1944 0.4920 0.4951  4 O 1.52-1.58
P 0.4540 0.8615 0.1623  4 O 1.53-1.58
P 0.4920 0.1944 0.9951  4 O 1.52-1.58
P 0.4930 0.7841 0.4959  4 O 1.53-1.58
P 0.5295 0.8245 0.8286  4 O 1.53-1.58
P 0.5303 0.1149 0.3277  4 O 1.52-1.58
P 0.7841 0.4930 0.9959  4 O 1.53-1.58
P 0.8245 0.5295 0.3286  4 O 1.53-1.58
P 0.8602 0.1594 0.1620  4 O 1.53-1.58
P 0.8615 0.4540 0.6623  4 O 1.53-1.58
O 0.9997 0.8542 0.3877  1 Si 1.68
O 0.0011 0.6166 0.8845  1 P 1.58
O 0.0087 0.7974 0.9928  1 Si 1.68
O 0.0110 0.8291 0.6686  1 P 1.53
O 0.0150 0.6565 0.4921  1 P 1.58
O 0.0311 0.6357 0.7719  1 P 1.52
O 0.0464 0.7900 0.2697  1 Si 1.61
O 0.1277 0.3525 0.8254  1 P 1.58
O 0.1284 0.9672 0.6061  1 P 1.53
O 0.1298 0.3661 0.1024  1 Si 1.61
O 0.1369 0.9979 0.3266  1 Si 1.67
O 0.1677 0.9786 0.0019  1 Si 1.63
O 0.1710 0.3388 0.5014  1 P 1.53
O 0.1839 0.9510 0.7184  1 P 1.58
O 0.1881 0.3308 0.2210  1 Si 1.67
O 0.2798 0.5232 0.5517  1 P 1.58
O 0.2876 0.6651 0.0537  1 Si 1.67
O 0.2926 0.5053 0.8343  1 P 1.53
O 0.2994 0.4673 0.4392  1 P 1.52
O 0.3082 0.7060 0.9357  1 Si 1.61
O 0.3151 0.6568 0.3365  1 Si 1.63
O 0.3290 0.6864 0.6591  1 P 1.57
O 0.3308 0.1881 0.7210  1 Si 1.67
O 0.3340 0.4632 0.1593  1 Si 1.68
O 0.3364 0.9475 0.2182  1 P 1.58
O 0.3388 0.1710 0.0014  1 P 1.53
O 0.3396 0.9633 0.5011  1 P 1.54
O 0.3525 0.1277 0.3254  1 P 1.58
O 0.3524 0.9927 0.8251  1 P 1.58
O 0.3661 0.1298 0.6024  1 Si 1.61
O 0.3739 0.9654 0.1059  1 P 1.53
O 0.4632 0.3340 0.6593  1 Si 1.68
O 0.4659 0.7050 0.4394  1 P 1.53
O 0.4673 0.2994 0.9392  1 P 1.52
O 0.4706 0.6820 0.1589  1 P 1.58
O 0.5020 0.6737 0.8337  1 P 1.53
O 0.5053 0.2926 0.3343  1 P 1.53
O 0.5173 0.6716 0.5523  1 P 1.57
O 0.5232 0.2798 0.0517  1 P 1.58
O 0.6161 0.8513 0.8853  1 P 1.57
O 0.6166 0.0011 0.3845  1 P 1.58
O 0.6297 0.8405 0.1702  1 P 1.53
O 0.6357 0.0311 0.2719  1 P 1.52
O 0.6364 0.7960 0.7727  1 P 1.53
O 0.6413 0.9917 0.6659  1 Si 1.63
O 0.6565 0.0150 0.9921  1 P 1.58
O 0.6568 0.3151 0.8365  1 Si 1.63
O 0.6601 0.7924 0.4925  1 P 1.58
O 0.6651 0.2876 0.5537  1 Si 1.67
O 0.6716 0.5173 0.0523  1 P 1.57
O 0.6737 0.5020 0.3337  1 P 1.53
O 0.6820 0.4706 0.6589  1 P 1.58
O 0.6864 0.3290 0.1591  1 P 1.57
O 0.7050 0.4659 0.9394  1 P 1.53
O 0.7060 0.3082 0.4357  1 Si 1.61
O 0.7900 0.0464 0.7697  1 Si 1.61
O 0.7924 0.6601 0.9925  1 P 1.58
O 0.7960 0.6364 0.2727  1 P 1.53
O 0.7974 0.0087 0.4928  1 Si 1.68
O 0.8291 0.0110 0.1686  1 P 1.53
O 0.8405 0.6297 0.6702  1 P 1.53
O 0.8513 0.6161 0.3853  1 P 1.57
O 0.8542 0.9997 0.8877  1 Si 1.68
O 0.9475 0.3364 0.7182  1 P 1.58
O 0.9510 0.1839 0.2184  1 P 1.58
O 0.9633 0.3396 0.0011  1 P 1.54
O 0.9654 0.3739 0.6059  1 P 1.53
O 0.9672 0.1284 0.1061  1 P 1.53
O 0.9786 0.1677 0.5019  1 Si 1.63
O 0.9917 0.6413 0.1659  1 Si 1.63
O 0.9927 0.3524 0.3251  1 P 1.58
O 0.9979 0.1369 0.8266  1 Si 1.67


Record 2
Compound: Na7Hf2Zn2SiP5O24
Source: the Materials Project database
Functional: PBE
Structure: relaxed

Results
SG	P1, No. 1

abc: 9.1132 9.1150 22.2013
angles: 90.20 90.17 119.96
Last column: nearest neighbours and their distance in Å.
Positions (direct):
Na 0.0000 0.0000 0.0000  4 O 2.37-2.54
Na 0.0002 0.3656 0.7484  4 O 2.37-2.61
Na 0.0020 0.7331 0.5029  5 O 2.40-2.61
Na 0.0107 0.0615 0.6669  4 O 2.36-2.59
Na 0.0127 0.6706 0.1687  3 O 2.31-2.48
Na 0.2751 0.6707 0.6682  3 O 2.32-2.51
Na 0.2779 0.3403 0.1713  4 O 2.40-2.58
Na 0.3274 0.0228 0.0812  3 O 2.33-2.51
Na 0.3329 0.0208 0.5790  3 O 2.37-2.48
Na 0.3410 0.6678 0.3325  3 O 2.32-2.46
Na 0.3431 0.3414 0.5007  4 O 2.33-2.55
Na 0.3482 0.7391 0.0024  3 O 2.31-2.50
Na 0.6137 0.3362 0.0035  5 O 2.43-2.65
Na 0.6391 0.6799 0.9126  3 O 2.33-2.47
Na 0.6533 0.6876 0.4133  3 O 2.34-2.44
Na 0.6703 0.0656 0.1644  3 O 2.35-2.46
Na 0.6788 0.3401 0.6702  4 O 2.38-2.57
Na 0.6800 0.0094 0.8367  5 O 2.39-2.63
Na 0.9437 0.6663 0.8317  4 O 2.32-2.59
Na 0.9471 0.0092 0.3357  5 O 2.37-2.61
Na 0.9824 0.3644 0.2480  3 O 2.36-2.49
Hf 0.3192 0.0262 0.7380  6 O 2.04-2.12
Hf 0.3253 0.0260 0.2389  6 O 2.04-2.12
Hf 0.6521 0.6952 0.0715  6 O 1.99-2.17
Hf 0.6575 0.6981 0.5704  6 O 2.00-2.15
Hf 0.9804 0.3575 0.4043  6 O 2.03-2.13
Hf 0.9906 0.3559 0.9041  6 O 2.00-2.16
Zn 0.3302 0.0268 0.4359  5 O 1.97-2.20
Zn 0.3305 0.0277 0.9354  5 O 2.02-2.24
Zn 0.6448 0.6808 0.2694  3 O 1.97-2.10
Zn 0.6509 0.6807 0.7684  3 O 1.98-2.11
Zn 0.9844 0.3637 0.6017  6 O 2.05-2.28
Zn 0.9881 0.3607 0.1017  4 O 1.98-2.13
Si 0.3514 0.6885 0.1755  4 O 1.61-1.68
Si 0.6907 0.0616 0.0082  4 O 1.62-1.68
Si 0.9525 0.6898 0.6751  4 O 1.62-1.68
P 0.0241 0.7301 0.3421  4 O 1.53-1.59
P 0.0261 0.0268 0.8422  4 O 1.53-1.58
P 0.2843 0.3578 0.0092  4 O 1.53-1.57
P 0.2841 0.6554 0.5071  4 O 1.53-1.58
P 0.3190 0.3214 0.3438  4 O 1.53-1.60
P 0.3221 0.7271 0.8407  4 O 1.53-1.59
P 0.3610 0.3978 0.6725  4 O 1.52-1.58
P 0.6182 0.0243 0.3407  4 O 1.52-1.58
P 0.6200 0.3248 0.8426  4 O 1.53-1.60
P 0.6527 0.3975 0.1741  4 O 1.52-1.58
P 0.6536 0.9857 0.6771  4 O 1.53-1.58
P 0.6866 0.3568 0.5097  4 O 1.53-1.59
P 0.9511 0.9856 0.1767  4 O 1.53-1.59
P 0.9858 0.0630 0.5078  4 O 1.54-1.58
P 0.9860 0.6543 0.0072  4 O 1.54-1.57
O 0.0070 0.1679 0.5649  1 P 1.54
O 0.0118 0.1914 0.8430  1 P 1.57
O 0.0176 0.5539 0.3449  1 P 1.58
O 0.0176 0.5796 0.0644  1 P 1.54
O 0.1054 0.8351 0.3994  1 P 1.54
O 0.1123 0.0070 0.8986  1 P 1.53
O 0.1306 0.0006 0.1795  1 P 1.57
O 0.1345 0.0422 0.7848  1 P 1.58
O 0.1353 0.8358 0.0004  1 P 1.54
O 0.1411 0.0374 0.5034  1 P 1.55
O 0.1416 0.8681 0.6772  1 Si 1.68
O 0.1434 0.8211 0.2861  1 P 1.59
O 0.1481 0.3302 0.3445  1 P 1.60
O 0.1523 0.5530 0.8424  1 P 1.57
O 0.1612 0.5262 0.1684  1 Si 1.63
O 0.1773 0.3600 0.6658  1 P 1.54
O 0.1816 0.5754 0.5648  1 P 1.54
O 0.1853 0.3342 0.0675  1 P 1.53
O 0.1895 0.5370 0.4513  1 P 1.58
O 0.1923 0.3893 0.9553  1 P 1.57
O 0.2962 0.2085 0.2865  1 P 1.58
O 0.2979 0.8222 0.7849  1 P 1.59
O 0.3002 0.8300 0.5001  1 P 1.53
O 0.3050 0.2018 0.0004  1 P 1.54
O 0.3305 0.2343 0.4009  1 P 1.53
O 0.3407 0.8666 0.1776  1 Si 1.67
O 0.3443 0.8297 0.8986  1 P 1.54
O 0.3577 0.2232 0.6786  1 P 1.58
O 0.4334 0.6582 0.2354  1 Si 1.61
O 0.4393 0.5141 0.7267  1 P 1.52
O 0.4584 0.6601 0.5093  1 P 1.57
O 0.4646 0.5215 0.0111  1 P 1.57
O 0.4681 0.5023 0.3399  1 P 1.53
O 0.4718 0.4811 0.6147  1 P 1.58
O 0.4778 0.7207 0.1164  1 Si 1.68
O 0.4799 0.7107 0.8333  1 P 1.53
O 0.4822 0.2221 0.1793  1 P 1.58
O 0.4899 0.0030 0.6792  1 P 1.58
O 0.4992 0.0320 0.0024  1 Si 1.63
O 0.5034 0.9964 0.3940  1 P 1.52
O 0.5055 0.2095 0.5017  1 P 1.53
O 0.5233 0.2410 0.9002  1 P 1.53
O 0.5292 0.2106 0.7857  1 P 1.58
O 0.5353 0.0477 0.2816  1 P 1.58
O 0.6208 0.8628 0.6224  1 P 1.57
O 0.6262 0.4781 0.1152  1 P 1.58
O 0.6473 0.8713 0.3364  1 P 1.55
O 0.6510 0.5054 0.8382  1 P 1.53
O 0.6781 0.9092 0.7349  1 P 1.53
O 0.6801 0.5281 0.5099  1 P 1.59
O 0.6818 0.8733 0.0096  1 Si 1.68
O 0.6859 0.5140 0.2277  1 P 1.52
O 0.7625 0.3382 0.5689  1 P 1.53
O 0.7742 0.1744 0.0682  1 Si 1.62
O 0.7973 0.1882 0.3452  1 P 1.57
O 0.7993 0.3336 0.8433  1 P 1.60
O 0.8014 0.3638 0.1697  1 P 1.54
O 0.8090 0.1625 0.6684  1 P 1.54
O 0.8092 0.3811 0.4559  1 P 1.58
O 0.8151 0.1567 0.9492  1 Si 1.67
O 0.8154 0.6574 0.0100  1 P 1.57
O 0.8218 0.8828 0.5093  1 P 1.58
O 0.8406 0.6600 0.7349  1 Si 1.62
O 0.8455 0.8723 0.8380  1 P 1.54
O 0.8460 0.9025 0.2328  1 P 1.53
O 0.8491 0.7115 0.3339  1 P 1.53
O 0.8575 0.7220 0.6162  1 Si 1.67
O 0.8647 0.8696 0.1194  1 P 1.59
O 0.9649 0.5394 0.9511  1 P 1.57
O 0.9688 0.1560 0.4511  1 P 1.57
O 0.9752 0.1639 0.1702  1 P 1.54
O 0.9819 0.5279 0.6688  1 Si 1.63


| no. | volume (Å³ per atom) | total energy after the MP2020 corrections (eV/atom) | spin magnetization (μB/cell) |
| --- | --- | --- | --- |
| 1 | 12.85 | -7.18 | 0.00 |
| 2 | 12.99 | -7.26 | 0.00 |